Record 1
## La3Mg (GGA-PBE)

Data for a relaxed structure of La3Mg.

Properties
Its space-group type is Imm2, No. 44.

abc: 6.879 6.879 6.879
angles: 148.74 63.97 125.73
Fractional coordinates of all 4 atoms:
La (0.000, 0.000, 0.000)
La (0.409, 0.642, 0.767)
La (0.876, 0.642, 0.233)
Mg (0.480, 0.980, 0.500)

=====

Record 2
## La2Mg (GGA-PBE)

Data for a relaxed structure of La2Mg.

Properties
Its space-group type is C2/c, No. 15. The calculation puts the relative energy among the computed polymorphs at 17 meV per atom.

abc: 6.222 6.222 6.761
angles: 117.17 117.17 60.25
Fractional coordinates of all 6 atoms:
La (0.085, 0.251, 0.252)
La (0.251, 0.085, 0.752)
La (0.749, 0.915, 0.248)
La (0.915, 0.749, 0.748)
Mg (0.418, 0.582, 0.250)
Mg (0.582, 0.418, 0.750)

=====

Record 3
## LaMg2 (GGA-PBE)

Data for a relaxed structure of LaMg2.

Properties
Its space-group type is P6_3/mmc, No. 194.

abc: 6.279 6.279 9.875
angles: 90.00 90.00 120.00
Fractional coordinates of all 12 atoms:
La (0.333, 0.667, 0.081)
La (0.333, 0.667, 0.419)
La (0.667, 0.333, 0.581)
La (0.667, 0.333, 0.919)
Mg (0.000, 0.000, 0.000)
Mg (0.000, 0.000, 0.500)
Mg (0.170, 0.339, 0.750)
Mg (0.170, 0.830, 0.750)
Mg (0.339, 0.170, 0.250)
Mg (0.661, 0.830, 0.750)
Mg (0.830, 0.170, 0.250)
Mg (0.830, 0.661, 0.250)

=====

Record 4
## La3Mg (GGA-PBE)

Data for a relaxed structure of La3Mg.

Properties
Its space-group type is Pmm2, No. 25.

abc: 3.703 5.869 6.175
angles: 90.00 90.00 90.00
Fractional coordinates of all 4 atoms:
La (0.000, 0.000, 0.000)
La (0.000, 0.500, 0.387)
La (0.500, 0.000, 0.535)
Mg (0.500, 0.500, 0.868)

=====

Record 5
## La2Mg (GGA-PBE)

Data for a relaxed structure of La2Mg.

Properties
Its space-group type is C2/m, No. 12. The calculation puts the relative energy among the computed polymorphs at 0 meV per atom. As for the magnetic moment: 0.07 μB/cell.

abc: 6.902 6.902 7.968
angles: 105.88 105.88 33.11
Fractional coordinates of all 6 atoms:
La (0.146, 0.146, 0.057)
La (0.167, 0.167, 0.597)
La (0.833, 0.833, 0.403)
La (0.854, 0.854, 0.943)
Mg (0.488, 0.488, 0.724)
Mg (0.512, 0.512, 0.276)

=====

Record 6
## La3Mg (GGA-PBE)

Data for a relaxed structure of La3Mg.

Properties
Its space-group type is I4/mmm, No. 139.

abc: 6.351 6.351 6.351
angles: 133.23 133.23 68.29
Fractional coordinates of all 4 atoms:
La (0.000, 0.000, 0.000)
La (0.250, 0.750, 0.500)
La (0.750, 0.250, 0.500)
Mg (0.500, 0.500, 0.000)

=====

Record 7
## La2Mg (GGA-PBE)

Data for a relaxed structure of La2Mg.

Properties
Its space-group type is Cmcm, No. 63. The calculation puts the relative energy among the computed polymorphs at 31 meV per atom.

abc: 6.289 6.289 5.669
angles: 90.00 90.00 59.57
Fractional coordinates of all 6 atoms:
La (0.015, 0.678, 0.750)
La (0.322, 0.985, 0.750)
La (0.678, 0.015, 0.250)
La (0.985, 0.322, 0.250)
Mg (0.341, 0.659, 0.250)
Mg (0.659, 0.341, 0.750)

=====

Record 8
## LaMg2 (GGA-PBE)

Data for a relaxed structure of LaMg2.

Properties
Its space-group type is P-62m, No. 189. As for the magnetic moment: 0.05 μB/cell.

abc: 6.084 6.084 5.354
angles: 90.00 90.00 120.00
Fractional coordinates of all 6 atoms:
La (0.333, 0.667, 0.000)
La (0.667, 0.333, 0.000)
Mg (0.000, 0.000, 0.000)
Mg (0.000, 0.700, 0.500)
Mg (0.300, 0.300, 0.500)
Mg (0.700, 0.000, 0.500)

=====

Record 9
## LaMg7 (GGA-PBE)

Data for a relaxed structure of LaMg7.

Properties
Its space-group type is P-6m2, No. 187. As for the magnetic moment: 0.01 μB/cell.

abc: 6.756 6.756 5.218
angles: 90.00 90.00 120.00
Fractional coordinates of all 8 atoms:
La (0.000, 0.000, 0.000)
Mg (0.009, 0.504, 0.000)
Mg (0.172, 0.345, 0.500)
Mg (0.172, 0.828, 0.500)
Mg (0.496, 0.504, 0.000)
Mg (0.496, 0.991, 0.000)
Mg (0.655, 0.828, 0.500)
Mg (0.667, 0.333, 0.500)

=====

Record 10
## LaMg2 (GGA-PBE)

Data for a relaxed structure of LaMg2.

Properties
Its space-group type is C2/m, No. 12. As for the magnetic moment: 0.01 μB/cell.

abc: 6.899 6.899 7.707
angles: 103.38 103.38 28.10
Fractional coordinates of all 6 atoms:
La (0.017, 0.017, 0.296)
La (0.983, 0.983, 0.704)
Mg (0.297, 0.297, 0.357)
Mg (0.344, 0.344, 0.967)
Mg (0.656, 0.656, 0.033)
Mg (0.703, 0.703, 0.643)

=====

Record 11
## LaMg5 (GGA-PBE)

Data for a relaxed structure of LaMg5.

Properties
Its space-group type is Cm, No. 8. As for the magnetic moment: 0.10 μB/cell.

abc: 6.712 6.712 7.663
angles: 104.30 104.30 27.82
Fractional coordinates of all 6 atoms:
La (0.000, 0.000, 0.000)
Mg (0.275, 0.275, 0.068)
Mg (0.325, 0.325, 0.662)
Mg (0.623, 0.623, 0.721)
Mg (0.676, 0.676, 0.350)
Mg (0.946, 0.946, 0.407)

=====

Record 12
## LaMg2 (GGA-PBE)

Data for a relaxed structure of LaMg2.

Properties
Its space-group type is Cmcm, No. 63. As for the magnetic moment: 0.00 μB/cell.

abc: 9.120 9.120 5.660
angles: 90.00 90.00 158.56
Fractional coordinates of all 6 atoms:
La (0.110, 0.890, 0.750)
La (0.890, 0.110, 0.250)
Mg (0.220, 0.780, 0.250)
Mg (0.443, 0.557, 0.750)
Mg (0.557, 0.443, 0.250)
Mg (0.780, 0.220, 0.750)

=====

Record 13
## LaMg12 (GGA-PBE)

Data for a relaxed structure of LaMg12.

Properties
Its space-group type is I4/mmm, No. 139.

abc: 7.907 7.907 7.907
angles: 98.10 98.10 135.90
Fractional coordinates of all 13 atoms:
La (0.000, 0.000, 0.000)
Mg (0.000, 0.000, 0.500)
Mg (0.000, 0.353, 0.353)
Mg (0.000, 0.500, 0.000)
Mg (0.000, 0.647, 0.647)
Mg (0.282, 0.500, 0.782)
Mg (0.353, 0.000, 0.353)
Mg (0.500, 0.000, 0.000)
Mg (0.500, 0.282, 0.782)
Mg (0.500, 0.500, 0.500)
Mg (0.500, 0.718, 0.218)
Mg (0.647, 0.000, 0.647)
Mg (0.718, 0.500, 0.218)

=====

no.,energy of formation (meV per atom)
1,-14
2,-27
3,-99
4,-10
5,-43
6,-14
7,-13
8,7
9,19
10,-48
11,12
12,-39
13,-48